[1]
ZnTeO3: relaxed, meta-GGA r2SCAN.

Calculated values
calculated density	5.59	g/cm³
total energy	-59.02	eV/f.u.
calculated formation energy	-1.356	eV per atom

```
data_ZnTeO3
_cell_length_a 6.329
_cell_length_b 12.328
_cell_length_c 7.339
_cell_angle_alpha 90.00
_cell_angle_beta 90.00
_cell_angle_gamma 90.00
_space_group_name_H-M_alt 'P b c a'
_space_group_IT_number 61
_space_group_name_Hall '-P 2ac 2ab'
loop_
_atom_site_label
_atom_site_type_symbol
_atom_site_fract_x
_atom_site_fract_y
_atom_site_fract_z
_atom_site_occupancy
Zn1 Zn 0.122 0.090 0.109 1
Te1 Te 0.090 0.144 0.564 1
O1 O 0.029 0.590 0.156 1
O2 O 0.155 0.566 0.538 1
O3 O 0.197 0.225 0.973 1
```

[2]
ZnTe6O13: relaxed, meta-GGA r2SCAN.

Calculated values
calculated density	6.07	g/cm³
total energy	-262.33	eV/f.u.
calculated formation energy	-1.164	eV per atom

```
data_ZnTe6O13
_cell_length_a 10.1571
_cell_length_b 10.1571
_cell_length_c 19.0951
_cell_angle_alpha 90.00
_cell_angle_beta 90.00
_cell_angle_gamma 120.00
_space_group_name_H-M_alt 'R -3'
_space_group_IT_number 148
_space_group_name_Hall '-R 3'
loop_
_atom_site_label
_atom_site_type_symbol
_atom_site_fract_x
_atom_site_fract_y
_atom_site_fract_z
_atom_site_occupancy
Zn1 Zn 0.0000 0.0000 0.2427 1
Te1 Te 0.0629 0.8287 0.9088 1
Te2 Te 0.0812 0.8433 0.4045 1
O1 O 0.0000 0.0000 0.4130 1
O2 O 0.0010 0.2528 0.4484 1
O3 O 0.0523 0.8562 0.8126 1
O4 O 0.0549 0.8714 0.0712 1
O5 O 0.0882 0.2039 0.3076 1
```

[3]
ZrTe3O8: relaxed, meta-GGA r2SCAN.

Calculated values
calculated density	5.47	g/cm³
total energy	-168.30	eV/f.u.
calculated formation energy	-1.793	eV per atom

```
data_ZrTe3O8
_cell_length_a 11.350
_cell_length_b 11.350
_cell_length_c 11.350
_cell_angle_alpha 90.00
_cell_angle_beta 90.00
_cell_angle_gamma 90.00
_space_group_name_H-M_alt 'I a -3'
_space_group_IT_number 206
_space_group_name_Hall '-I 2b 2c 3'
loop_
_atom_site_label
_atom_site_type_symbol
_atom_site_fract_x
_atom_site_fract_y
_atom_site_fract_z
_atom_site_occupancy
Zr1 Zr 0.250 0.250 0.250 1
Te1 Te 0.000 0.250 0.045 1
O1 O 0.083 0.083 0.083 1
O2 O 0.111 0.186 0.649 1
```

[4]
ThTi2O6: relaxed, meta-GGA r2SCAN.

Calculated values
calculated density	6.05	g/cm³
total energy	-167.77	eV/f.u.
calculated formation energy	-3.620	eV per atom

```
data_ThTi2O6
_cell_length_a 9.874
_cell_length_b 3.827
_cell_length_c 7.052
_cell_angle_alpha 90.00
_cell_angle_beta 119.21
_cell_angle_gamma 90.00
_space_group_name_H-M_alt 'C 1 2/m 1'
_space_group_IT_number 12
_space_group_name_Hall '-C 2y'
loop_
_atom_site_label
_atom_site_type_symbol
_atom_site_fract_x
_atom_site_fract_y
_atom_site_fract_z
_atom_site_occupancy
Th1 Th 0.000 0.000 0.000 1
Ti1 Ti 0.176 0.000 0.606 1
O1 O 0.023 0.000 0.688 1
O2 O 0.156 0.500 0.109 1
O3 O 0.221 0.500 0.595 1
```